DFT (PBE-GGA) results for a relaxed Na14Mg8Si3S9O48 crystal.

Results
Crystal system   triclinic
Calculated formation energy   -198.61 eV per formula unit
E   -1463.86 eV per cell

Structure (CIF):
```
data_Na14Mg8Si3S9O48
_cell_length_a 9.0097
_cell_length_b 15.6317
_cell_length_c 22.1570
_cell_angle_alpha 90.17
_cell_angle_beta 90.05
_cell_angle_gamma 90.00
_space_group_name_H-M_alt 'P 1'
_space_group_IT_number 1
_space_group_name_Hall 'P 1'
loop_
_atom_site_label
_atom_site_type_symbol
_atom_site_fract_x
_atom_site_fract_y
_atom_site_fract_z
Na1 Na 0.0000 0.0000 0.0000
Na2 Na 0.9995 0.9700 0.6564
Na3 Na 0.0087 0.3224 0.6593
Na4 Na 0.1134 0.8236 0.1642
Na5 Na 0.1213 0.4672 0.1614
Na6 Na 0.1227 0.4972 0.5002
Na7 Na 0.1269 0.1587 0.8237
Na8 Na 0.1423 0.1299 0.5031
Na9 Na 0.1651 0.1358 0.1541
Na10 Na 0.1659 0.8029 0.4912
Na11 Na 0.1821 0.4759 0.8174
Na12 Na 0.2918 0.9830 0.0776
Na13 Na 0.3048 0.6452 0.4132
Na14 Na 0.3075 0.3075 0.7359
Na15 Na 0.3110 0.3075 0.2521
Na16 Na 0.3138 0.6502 0.9044
Na17 Na 0.3166 0.9898 0.5749
Na18 Na 0.4271 0.1437 0.6513
Na19 Na 0.4419 0.8106 0.9847
Na20 Na 0.4608 0.4666 0.3278
Na21 Na 0.4765 0.4584 0.6608
Na22 Na 0.4771 0.1274 0.9953
Na23 Na 0.4907 0.8277 0.6672
Na24 Na 0.5007 0.1668 0.3369
Na25 Na 0.6193 0.6646 0.8257
Na26 Na 0.6308 0.3262 0.1719
Na27 Na 0.6439 0.6265 0.4950
Na28 Na 0.6454 0.9621 0.1659
Na29 Na 0.6597 0.9675 0.8232
Na30 Na 0.6664 0.3016 0.4837
Na31 Na 0.6911 0.6408 0.1631
Na32 Na 0.7927 0.1515 0.4116
Na33 Na 0.8086 0.8101 0.7477
Na34 Na 0.8102 0.4794 0.0810
Na35 Na 0.8146 0.8093 0.2405
Na36 Na 0.8177 0.1458 0.9109
Na37 Na 0.8295 0.4788 0.5753
Na38 Na 0.9400 0.9775 0.3225
Na39 Na 0.9569 0.3012 0.9911
Na40 Na 0.9585 0.6355 0.6498
Na41 Na 0.9933 0.6587 0.3293
Na42 Na 0.9962 0.6260 0.0012
Mg1 Mg 0.2947 0.6391 0.5602
Mg2 Mg 0.3027 0.3017 0.5962
Mg3 Mg 0.3037 0.6378 0.0637
Mg4 Mg 0.3043 0.6453 0.2596
Mg5 Mg 0.3042 0.9750 0.2283
Mg6 Mg 0.3060 0.6450 0.7607
Mg7 Mg 0.3094 0.3041 0.0889
Mg8 Mg 0.3090 0.9743 0.9239
Mg9 Mg 0.3105 0.9750 0.7288
Mg10 Mg 0.3131 0.3050 0.8955
Mg11 Mg 0.3223 0.9803 0.4305
Mg12 Mg 0.3246 0.3037 0.3948
Mg13 Mg 0.8040 0.4734 0.9265
Mg14 Mg 0.8072 0.8062 0.3970
Mg15 Mg 0.8079 0.8090 0.8906
Mg16 Mg 0.8105 0.1384 0.5590
Mg17 Mg 0.8124 0.8053 0.5873
Mg18 Mg 0.8130 0.1446 0.7567
Mg19 Mg 0.8132 0.4712 0.4258
Mg20 Mg 0.8134 0.4748 0.2314
Mg21 Mg 0.8150 0.1443 0.2634
Mg22 Mg 0.8164 0.4733 0.7258
Mg23 Mg 0.8193 0.8088 0.0992
Mg24 Mg 0.8278 0.1394 0.0614
Si1 Si 0.0111 0.6389 0.1608
Si2 Si 0.1067 0.1392 0.6624
Si3 Si 0.1617 0.1583 0.9915
Si4 Si 0.1625 0.4934 0.6627
Si5 Si 0.4559 0.8254 0.8274
Si6 Si 0.4641 0.1578 0.4953
Si7 Si 0.6636 0.3261 0.3255
Si8 Si 0.9594 0.6583 0.4915
Si9 Si 0.9605 0.9940 0.1626
S1 S 0.0126 0.9745 0.8279
S2 S 0.0199 0.3096 0.4931
S3 S 0.1024 0.8071 0.9934
S4 S 0.1095 0.4749 0.3273
S5 S 0.1614 0.7897 0.6599
S6 S 0.1633 0.1216 0.3271
S7 S 0.1656 0.4573 0.9923
S8 S 0.1661 0.8283 0.3285
S9 S 0.4560 0.4943 0.1594
S10 S 0.4564 0.7876 0.1592
S11 S 0.4582 0.4568 0.4946
S12 S 0.4633 0.1249 0.8273
S13 S 0.5154 0.8086 0.4953
S14 S 0.5184 0.1434 0.1595
S15 S 0.5187 0.4724 0.8275
S16 S 0.6033 0.9713 0.3257
S17 S 0.6040 0.6435 0.6607
S18 S 0.6059 0.3110 0.9953
S19 S 0.6584 0.6253 0.3264
S20 S 0.6621 0.6603 0.9942
S21 S 0.6638 0.9545 0.9947
S22 S 0.6652 0.9929 0.6611
S23 S 0.6657 0.2893 0.6613
S24 S 0.9555 0.6210 0.8294
S25 S 0.9560 0.3282 0.8290
S26 S 0.9563 0.9552 0.4920
S27 S 0.9604 0.2898 0.1591
O1 O 0.9996 0.1268 0.3214
O2 O 0.0012 0.1220 0.6031
O3 O 0.0050 0.7936 0.9406
O4 O 0.0071 0.1547 0.7235
O5 O 0.0122 0.8174 0.0488
O6 O 0.0132 0.4918 0.3801
O7 O 0.0207 0.4658 0.2712
O8 O 0.1028 0.9646 0.7727
O9 O 0.1066 0.9896 0.8817
O10 O 0.1081 0.3244 0.5490
O11 O 0.1107 0.6211 0.0998
O12 O 0.1164 0.2998 0.4401
O13 O 0.1160 0.6575 0.2195
O14 O 0.1190 0.6271 0.8239
O15 O 0.1223 0.9583 0.4869
O16 O 0.1228 0.3222 0.8313
O17 O 0.1256 0.3012 0.1536
O18 O 0.1430 0.6519 0.4949
O19 O 0.1435 0.9811 0.1671
O20 O 0.1852 0.5541 0.6036
O21 O 0.1865 0.7338 0.7126
O22 O 0.1902 0.2195 0.9330
O23 O 0.1920 0.0656 0.3802
O24 O 0.1929 0.4053 0.0472
O25 O 0.1963 0.8851 0.9890
O26 O 0.1988 0.8789 0.2735
O27 O 0.2029 0.7302 0.9974
O28 O 0.2040 0.3985 0.3339
O29 O 0.2099 0.5526 0.3228
O30 O 0.2114 0.2250 0.6592
O31 O 0.2149 0.0527 0.6673
O32 O 0.2244 0.8707 0.3832
O33 O 0.2255 0.4154 0.9376
O34 O 0.2290 0.2077 0.3330
O35 O 0.2288 0.7521 0.6047
O36 O 0.2304 0.5446 0.9962
O37 O 0.2297 0.8756 0.6668
O38 O 0.2306 0.7404 0.3249
O39 O 0.2335 0.0825 0.2722
O40 O 0.2372 0.5372 0.7231
O41 O 0.2378 0.0617 0.9866
O42 O 0.2382 0.2001 0.0523
O43 O 0.2416 0.3991 0.6558
O44 O 0.3771 0.0646 0.4902
O45 O 0.3848 0.4079 0.1525
O46 O 0.3870 0.2029 0.5543
O47 O 0.3874 0.4193 0.4401
O48 O 0.3902 0.7270 0.8219
O49 O 0.3896 0.7495 0.1037
O50 O 0.3904 0.8743 0.1667
O51 O 0.3931 0.5329 0.2150
O52 O 0.3936 0.0840 0.7739
O53 O 0.3938 0.8699 0.8894
O54 O 0.3948 0.2113 0.8329
O55 O 0.3974 0.5459 0.4999
O56 O 0.4098 0.8805 0.4879
O57 O 0.4187 0.3967 0.8340
O58 O 0.4208 0.2214 0.1558
O59 O 0.4234 0.0651 0.1652
O60 O 0.4244 0.5511 0.8249
O61 O 0.4270 0.7275 0.5010
O62 O 0.4282 0.4048 0.5490
O63 O 0.4284 0.5498 0.1066
O64 O 0.4319 0.7318 0.2120
O65 O 0.4339 0.8868 0.7680
O66 O 0.4355 0.2154 0.4347
O67 O 0.4373 0.0724 0.8824
O68 O 0.4776 0.3192 0.3280
O69 O 0.4936 0.6305 0.3191
O70 O 0.4977 0.6531 0.0002
O71 O 0.4993 0.9628 0.9897
O72 O 0.5014 0.9828 0.6648
O73 O 0.5028 0.3007 0.6556
O74 O 0.5032 0.9814 0.3780
O75 O 0.5093 0.2997 0.9420
O76 O 0.5105 0.6563 0.7149
O77 O 0.5130 0.6323 0.6056
O78 O 0.5156 0.9611 0.2689
O79 O 0.5179 0.3254 0.0509
O80 O 0.6032 0.8235 0.5513
O81 O 0.6081 0.1322 0.1037
O82 O 0.6075 0.4627 0.7716
O83 O 0.6131 0.1558 0.2129
O84 O 0.6129 0.7965 0.4424
O85 O 0.6172 0.4846 0.8803
O86 O 0.6199 0.4842 0.1630
O87 O 0.6199 0.7970 0.1526
O88 O 0.6229 0.4644 0.4891
O89 O 0.6281 0.1303 0.8205
O90 O 0.6426 0.8154 0.8315
O91 O 0.6464 0.1532 0.5009
O92 O 0.6857 0.5726 0.3808
O93 O 0.6882 0.3861 0.2650
O94 O 0.6896 0.2341 0.7147
O95 O 0.6906 0.7131 0.9397
O96 O 0.6927 0.9005 0.0485
O97 O 0.6955 0.0480 0.6086
O98 O 0.6963 0.0501 0.3232
O99 O 0.6961 0.2308 0.0004
O100 O 0.6982 0.5650 0.6669
O101 O 0.7017 0.7213 0.6570
O102 O 0.7041 0.8957 0.3318
O103 O 0.7109 0.3847 0.9888
O104 O 0.7262 0.0427 0.0001
O105 O 0.7274 0.0306 0.7176
O106 O 0.7265 0.3730 0.3861
O107 O 0.7267 0.7119 0.3317
O108 O 0.7275 0.5854 0.2720
O109 O 0.7294 0.2280 0.3203
O110 O 0.7289 0.7010 0.0483
O111 O 0.7323 0.3767 0.6693
O112 O 0.7334 0.9154 0.9405
O113 O 0.7343 0.5743 0.9882
O114 O 0.7352 0.2520 0.6069
O115 O 0.7359 0.9059 0.6548
O116 O 0.8807 0.8991 0.1567
O117 O 0.8832 0.0385 0.2214
O118 O 0.8832 0.6999 0.5524
O119 O 0.8838 0.5619 0.4864
O120 O 0.8852 0.5811 0.7755
O121 O 0.8874 0.7069 0.8357
O122 O 0.8909 0.2410 0.8257
O123 O 0.8914 0.9141 0.4377
O124 O 0.8933 0.2528 0.1034
O125 O 0.8928 0.3764 0.1652
O126 O 0.8978 0.0429 0.4965
O127 O 0.8988 0.3697 0.8847
O128 O 0.9022 0.7228 0.1551
O129 O 0.9048 0.5523 0.1667
O130 O 0.9114 0.0511 0.8241
O131 O 0.9171 0.8973 0.8341
O132 O 0.9204 0.3862 0.4887
O133 O 0.9227 0.3808 0.7754
O134 O 0.9262 0.2312 0.4981
O135 O 0.9268 0.5675 0.8840
O136 O 0.9267 0.9033 0.5474
O137 O 0.9307 0.7188 0.4325
O138 O 0.9344 0.2341 0.2114
O139 O 0.9382 0.0516 0.1018
O140 O 0.9778 0.1515 0.9949
O141 O 0.9791 0.4824 0.6675
O142 O 0.9962 0.8006 0.6544
O143 O 0.9984 0.4656 0.9880
O144 O 0.9992 0.8216 0.3303
```